VASP calculation (PBE) on a geometry-optimized NaInBr4 structure.

Properties
Energy of formation from the pure elements ... -1435 meV per atom
Maximum piezoelectric response ... 0.1 C/m2

a b c (Å): 6.890 10.820 11.618
angles (deg): 90.00 90.00 90.00
Space group P2_12_12_1 (No. 19)
Asymmetric unit:
1 Na 0.068 0.025 0.147 x4
2 In 0.046 0.743 0.789 x4
3 Br 0.160 0.553 0.900 x4
4 Br 0.175 0.757 0.211 x4
5 Br 0.182 0.940 0.881 x4
6 Br 0.197 0.748 0.588 x4

VASP calculation (PBE) on a geometry-optimized EuY2O4 structure.

Properties
Energy of formation from the pure elements ... -3700 meV per atom
Distance to the lowest polymorph of the same formula ... 21.7 meV per atom

a b c (Å): 10.166 3.422 11.998
angles (deg): 90.00 90.18 90.00
Space group P2_1/m (No. 11)
Asymmetric unit:
1 Eu 0.245 0.250 0.351 x2
2 Eu 0.254 0.750 0.848 x2
3 Y 0.076 0.250 0.112 x2
4 Y 0.079 0.250 0.609 x2
5 Y 0.421 0.750 0.109 x2
6 Y 0.427 0.750 0.612 x2
7 O 0.021 0.750 0.717 x2
8 O 0.080 0.250 0.922 x2
9 O 0.124 0.750 0.476 x2
10 O 0.210 0.750 0.177 x2
11 O 0.292 0.250 0.673 x2
12 O 0.374 0.250 0.976 x2
13 O 0.420 0.750 0.422 x2
14 O 0.484 0.250 0.214 x2

VASP calculation (PBE) on a geometry-optimized KH2AuC4N4O structure.

Properties
Energy of formation from the pure elements ... -68 meV per atom

a b c (Å): 6.823 7.506 17.511
angles (deg): 90.00 90.00 90.00
Space group P2_12_12_1 (No. 19)
Asymmetric unit:
1 K 0.240 0.032 0.017 x4
2 H 0.185 0.312 0.430 x4
3 H 0.223 0.407 0.508 x4
4 Au 0.242 0.428 0.739 x4
5 C 0.002 0.853 0.816 x4
6 C 0.011 0.500 0.294 x4
7 C 0.135 0.336 0.839 x4
8 C 0.151 0.476 0.140 x4
9 N 0.080 0.287 0.898 x4
10 N 0.088 0.422 0.083 x4
11 N 0.129 0.958 0.173 x4
12 N 0.140 0.805 0.850 x4
13 O 0.126 0.336 0.481 x4